1.
Crystalline Dy3Ni7B2 at its relaxed geometry. Source: Materials Project, functional PBE.

Computed properties:
DFT total energy, eV per formula unit: -73.748
Space group: P6_3/mmc (194)

Cell: 5.0711 5.0711 14.2879 Å, 90.00 90.00 120.00°
Closest atoms and distances in Å follow each position.
Fractional coordinates of all 24 atoms:
Ni 0.0000 0.0000 0.5000  6 Ni 2.58
Ni 0.1656 0.8344 0.8508  2 B 2.05-2.06
Ni 0.8344 0.6689 0.3508  2 B 2.05-2.06
Ni 0.3311 0.1656 0.3508  2 B 2.05-2.06
Ni 0.3311 0.1656 0.1492  2 B 2.05-2.06
Ni 0.8344 0.6689 0.1492  2 B 2.05-2.06
Ni 0.1656 0.3311 0.8508  2 B 2.05-2.06
Ni 0.6689 0.8344 0.6492  2 B 2.05-2.06
Ni 0.0000 0.0000 0.0000  6 Ni 2.58
Ni 0.8344 0.1656 0.1492  2 B 2.05-2.06
Ni 0.6689 0.8344 0.8508  2 B 2.05-2.06
Ni 0.1656 0.8344 0.6492  2 B 2.05-2.06
Ni 0.1656 0.3311 0.6492  2 B 2.05-2.06
Ni 0.8344 0.1656 0.3508  2 B 2.05-2.06
Dy 0.3333 0.6667 0.2500  12 Ni 2.92, 6 B 2.93, 2 Dy 3.12
Dy 0.3333 0.6667 0.0319  12 Ni 2.96-3.04, 4 Dy 3.07-3.12
Dy 0.6667 0.3333 0.7500  12 Ni 2.92, 6 B 2.93, 2 Dy 3.12
Dy 0.6667 0.3333 0.9681  12 Ni 2.96-3.04, 4 Dy 3.07-3.12
Dy 0.3333 0.6667 0.4681  12 Ni 2.96-3.04, 4 Dy 3.07-3.12
Dy 0.6667 0.3333 0.5319  12 Ni 2.96-3.04, 4 Dy 3.07-3.12
B 0.3333 0.6667 0.7500  6 Ni 2.06
B 0.0000 0.0000 0.7500  6 Ni 2.05
B 0.0000 0.0000 0.2500  6 Ni 2.05
B 0.6667 0.3333 0.2500  6 Ni 2.06

2.
Crystalline DyNi12B6 at its relaxed geometry. Source: Materials Project, functional PBE.

Computed properties:
DFT total energy, eV per formula unit: -121.447
Space group: R-3m (166)
E above lowest polymorph, eV/atom: 0.003
M_tot, μB/f.u.: 0.01

Cell: 6.0035 6.0035 6.0035 Å, 104.32 104.32 104.32°
Closest atoms and distances in Å follow each position.
Fractional coordinates of all 19 atoms:
Ni 0.8695 0.1305 0.5000  4 B 2.03-2.08
Ni 0.4535 0.4535 0.1878  3 B 2.07-2.11
Ni 0.5465 0.8122 0.5465  3 B 2.07-2.11
Ni 0.1305 0.5000 0.8695  4 B 2.03-2.08
Ni 0.5465 0.5465 0.8122  3 B 2.07-2.11
Ni 0.1878 0.4535 0.4535  3 B 2.07-2.11
Ni 0.1305 0.8695 0.5000  4 B 2.03-2.08
Ni 0.4535 0.1878 0.4535  3 B 2.07-2.11
Ni 0.5000 0.1305 0.8695  4 B 2.03-2.08
Ni 0.8122 0.5465 0.5465  3 B 2.07-2.11
Ni 0.5000 0.8695 0.1305  4 B 2.03-2.08
Ni 0.8695 0.5000 0.1305  4 B 2.03-2.08
Dy 0.0000 0.0000 0.0000  18 Ni 3.06-3.25, 6 B 3.12
B 0.2337 0.2337 0.6670  7 Ni 2.03-2.11
B 0.7663 0.7663 0.3330  7 Ni 2.03-2.11
B 0.2337 0.6670 0.2337  7 Ni 2.03-2.11
B 0.7663 0.3330 0.7663  7 Ni 2.03-2.11
B 0.6670 0.2337 0.2337  7 Ni 2.03-2.11
B 0.3330 0.7663 0.7663  7 Ni 2.03-2.11